[1]
A plane-wave DFT calculation with GGA-PBE was carried out for a relaxed structure of Ca2MgIn.

a b c (Å): 5.4902 5.4902 5.4902
angles (deg): 60.00 60.00 60.00
With the nearest neighbours (Å) after each atom.
Fractional coordinates of all 4 atoms:
Ca 0.7500 0.7500 0.7500  4 In 3.36, 4 Mg 3.36
Ca 0.2500 0.2500 0.2500  4 In 3.36, 4 Mg 3.36
Mg 0.0000 0.0000 0.0000  8 Ca 3.36
In 0.5000 0.5000 0.5000  8 Ca 3.36

Summary:
Space group   Fm-3m (225)
Energy of formation   -0.31 eV per atom


[2]
A plane-wave DFT calculation with GGA-PBE was carried out for a relaxed structure of Na10Mg6Si3Sn2S9O48.

a b c (Å): 17.8060 8.9416 22.3985
angles (deg): 90.15 89.78 120.04
With the nearest neighbours (Å) after each atom.
Fractional coordinates of all 234 atoms:
Na 0.3158 0.0011 0.2438  6 O 2.36-2.60
Na 0.1888 0.3581 0.2493  5 O 2.40-2.59
Na 0.4971 0.6360 0.2547  5 O 2.35-2.56
Na 0.3087 0.6167 0.7400  4 O 2.31-2.54
Na 0.8151 0.6310 0.7432  6 O 2.36-2.60
Na 0.0023 0.3523 0.7532  5 O 2.42-2.66
Na 0.1824 0.0166 0.7567  6 O 2.37-2.64
Na 0.6894 0.0211 0.7490  5 O 2.40-2.58
Na 0.1638 0.3524 0.5900  4 O 2.35-2.53
Na 0.8301 0.7001 0.0812  2 O 2.23-2.38
Na 0.4825 0.6514 0.9178  5 O 2.35-2.61
Na 0.3529 0.0427 0.9177  4 O 2.35-2.55
Na 0.8549 0.0397 0.9217  6 O 2.34-2.61
Na 0.6597 0.3031 0.9170  5 O 2.40-2.64
Na 0.9810 0.3110 0.4162  5 O 2.35-2.63
Na 0.1588 0.0159 0.4157  5 O 2.39-2.62
Na 0.3551 0.6691 0.4232  5 O 2.37-2.61
Na 0.8521 0.6626 0.4161  4 O 2.36-2.54
Na 0.9937 0.9710 0.4981  4 O 2.34-2.59
Na 0.5047 0.0021 0.5008  6 O 2.42-2.67
Na 0.0108 0.0224 0.9997  5 O 2.42-2.65
Na 0.4996 0.0161 0.9986  6 O 2.37-2.65
Na 0.3281 0.3286 0.8347  6 O 2.45-2.69
Na 0.8347 0.3326 0.8281  6 O 2.44-2.72
Na 0.3340 0.3342 0.3283  6 O 2.46-2.73
Na 0.8305 0.3344 0.3337  6 O 2.53-2.66
Na 0.1621 0.6732 0.1616  6 O 2.44-2.72
Na 0.6784 0.6974 0.1621  1 O 2.23
Na 0.1752 0.6639 0.6613  1 O 2.26
Na 0.6630 0.6509 0.6611  4 O 2.40-2.61
Mg 0.0007 0.9858 0.3490  3 O 1.94-2.07
Mg 0.5039 0.0014 0.3518  6 O 1.95-2.17
Mg 0.0055 0.0137 0.8503  2 O 1.90-1.97
Mg 0.5033 0.0169 0.8503  4 O 1.93-2.16
Mg 0.3330 0.3446 0.6801  4 O 1.95-2.11
Mg 0.8305 0.3233 0.6835  6 O 1.99-2.22
Mg 0.3304 0.3368 0.1837  5 O 1.99-2.16
Mg 0.8324 0.3191 0.1810  2 O 1.88-2.08
Mg 0.3305 0.3292 0.9824  6 O 1.99-2.16
Mg 0.8409 0.3238 0.9896  3 O 1.93-2.14
Mg 0.3439 0.3555 0.4884  2 O 1.93-1.99
Mg 0.8296 0.3317 0.4820  6 O 2.00-2.15
Mg 0.1646 0.6634 0.0167  6 O 2.02-2.22
Mg 0.6637 0.6645 0.0209  4 O 1.93-2.14
Mg 0.1693 0.6809 0.5201  4 O 1.93-2.11
Mg 0.6638 0.6642 0.5167  6 O 2.02-2.24
Mg 0.6706 0.6678 0.3181  6 O 2.02-2.22
Mg 0.1655 0.6547 0.8180  6 O 2.01-2.20
Si 0.1478 0.0044 0.2509  4 O 1.60-1.66
Si 0.3531 0.7058 0.2559  4 O 1.60-1.69
Si 0.1517 0.2976 0.7503  4 O 1.59-1.72
Si 0.6477 0.2916 0.7510  4 O 1.61-1.66
Si 0.8507 0.9982 0.7569  4 O 1.59-1.69
Si 0.3335 0.6399 0.5824  4 O 1.62-1.69
Si 0.8306 0.0300 0.0824  4 O 1.59-1.76
Si 0.5171 0.3709 0.9209  4 O 1.59-1.71
Si 0.0168 0.6635 0.4206  4 O 1.60-1.71
Sn 0.9941 0.0026 0.6527  5 O 1.98-2.17
Sn 0.5003 0.0063 0.6454  6 O 1.94-2.17
Sn 0.9999 0.0002 0.1483  4 O 1.94-2.16
Sn 0.4963 0.9952 0.1508  6 O 1.98-2.15
Sn 0.1609 0.6725 0.3144  4 O 1.95-2.17
Sn 0.6610 0.6498 0.8152  5 O 1.96-2.19
S 0.6488 0.0025 0.2515  4 O 1.46-1.55
S 0.8474 0.6949 0.2503  4 O 1.47-1.52
S 0.9964 0.2906 0.2533  4 O 1.46-1.52
S 0.5056 0.2985 0.2503  4 O 1.46-1.52
S 0.0019 0.7096 0.7509  4 O 1.46-1.52
S 0.4990 0.7089 0.7522  4 O 1.46-1.50
S 0.3515 0.0008 0.7518  4 O 1.47-1.50
S 0.4822 0.3385 0.5836  4 O 1.47-1.52
S 0.9779 0.3287 0.5826  4 O 1.47-1.55
S 0.1835 0.0369 0.5847  4 O 1.46-1.55
S 0.6877 0.0360 0.5824  4 O 1.46-1.52
S 0.8347 0.6322 0.5839  4 O 1.47-1.55
S 0.4793 0.6294 0.0845  4 O 1.46-1.55
S 0.9818 0.6253 0.0841  4 O 1.46-1.53
S 0.3342 0.0373 0.0833  4 O 1.47-1.54
S 0.1878 0.3401 0.0827  4 O 1.46-1.52
S 0.6837 0.3253 0.0845  4 O 1.46-1.54
S 0.3128 0.6655 0.9165  4 O 1.47-1.51
S 0.8181 0.6640 0.9188  4 O 1.47-1.54
S 0.0188 0.3742 0.9168  4 O 1.46-1.50
S 0.1637 0.9536 0.9170  4 O 1.47-1.50
S 0.6665 0.9604 0.9170  4 O 1.45-1.52
S 0.3176 0.9703 0.4178  4 O 1.46-1.54
S 0.8111 0.9579 0.4169  4 O 1.47-1.51
S 0.1663 0.3718 0.4173  4 O 1.46-1.52
S 0.6640 0.3723 0.4174  4 O 1.47-1.50
S 0.5210 0.6663 0.4149  4 O 1.46-1.51
O 0.1093 0.0428 0.3101  1 Si 1.60
O 0.6047 0.0248 0.3028  1 S 1.46
O 0.4118 0.7949 0.3133  1 Si 1.60
O 0.9010 0.7832 0.3031  1 S 1.48
O 0.4918 0.1848 0.3008  1 S 1.46
O 0.9866 0.1900 0.3075  1 S 1.47
O 0.1026 0.1571 0.8011  1 Si 1.59
O 0.6101 0.1763 0.8102  1 Si 1.61
O 0.4853 0.7860 0.8066  1 S 1.48
O 0.9826 0.7871 0.8017  1 S 1.46
O 0.4019 0.0190 0.8061  1 S 1.47
O 0.9068 0.0239 0.8153  1 Si 1.59
O 0.3893 0.9583 0.6986  1 S 1.50
O 0.8852 0.9309 0.6978  1 Si 1.69
O 0.0904 0.2223 0.6862  1 Si 1.72
O 0.5855 0.1996 0.6922  1 Si 1.65
O 0.0213 0.8201 0.6952  1 S 1.52
O 0.5122 0.8190 0.6989  1 S 1.49
O 0.3904 0.8423 0.1972  1 Si 1.69
O 0.8868 0.8016 0.1942  1 S 1.52
O 0.0110 0.2092 0.1993  1 S 1.50
O 0.5234 0.2277 0.1936  1 S 1.52
O 0.0864 0.9743 0.1921  1 Si 1.65
O 0.5917 0.9651 0.1954  1 S 1.55
O 0.4391 0.3482 0.6382  1 S 1.47
O 0.9360 0.3386 0.6379  1 S 1.47
O 0.2323 0.1222 0.6393  1 S 1.47
O 0.7334 0.1104 0.6392  1 S 1.48
O 0.3202 0.5257 0.6419  1 Si 1.62
O 0.8292 0.5364 0.6386  1 S 1.47
O 0.4362 0.5328 0.1391  1 S 1.47
O 0.9405 0.5301 0.1387  1 S 1.46
O 0.3290 0.1217 0.1384  1 S 1.47
O 0.8225 0.1262 0.1397  1 Si 1.59
O 0.2339 0.3574 0.1393  1 S 1.48
O 0.7373 0.3458 0.1366  1 S 1.46
O 0.2323 0.3180 0.0313  1 S 1.46
O 0.7214 0.3019 0.0286  1 S 1.48
O 0.4276 0.5511 0.0303  1 S 1.47
O 0.9264 0.5466 0.0311  1 S 1.48
O 0.3437 0.1387 0.0293  1 S 1.47
O 0.8485 0.1292 0.0188  1 Si 1.62
O 0.2252 0.1430 0.5309  1 S 1.48
O 0.7325 0.1465 0.5312  1 S 1.46
O 0.3474 0.5590 0.5207  1 Si 1.63
O 0.8446 0.5505 0.5297  1 S 1.47
O 0.4304 0.3133 0.5298  1 S 1.47
O 0.9271 0.3088 0.5289  1 S 1.47
O 0.2707 0.6966 0.9679  1 S 1.47
O 0.7752 0.6936 0.9698  1 S 1.47
O 0.0713 0.4666 0.9687  1 S 1.46
O 0.5872 0.4690 0.9719  1 Si 1.59
O 0.1571 0.8478 0.9689  1 S 1.47
O 0.6588 0.8520 0.9675  1 S 1.45
O 0.2741 0.8499 0.4668  1 S 1.46
O 0.7715 0.8459 0.4695  1 S 1.48
O 0.1589 0.4620 0.4694  1 S 1.46
O 0.6534 0.4552 0.4712  1 S 1.47
O 0.0871 0.7077 0.4718  1 Si 1.60
O 0.5727 0.6782 0.4671  1 S 1.46
O 0.0547 0.6078 0.3594  1 Si 1.71
O 0.5613 0.6530 0.3584  1 S 1.49
O 0.2650 0.8972 0.3600  1 S 1.54
O 0.7608 0.8782 0.3625  1 S 1.47
O 0.1844 0.4807 0.3615  1 S 1.52
O 0.6795 0.4822 0.3640  1 S 1.49
O 0.0579 0.4660 0.8600  1 S 1.48
O 0.5544 0.5016 0.8596  1 Si 1.71
O 0.1779 0.8772 0.8612  1 S 1.50
O 0.6842 0.8902 0.8602  1 S 1.52
O 0.2652 0.6470 0.8605  1 S 1.48
O 0.7638 0.6330 0.8619  1 S 1.54
O 0.0045 0.8324 0.4123  1 Si 1.64
O 0.5107 0.8228 0.4143  1 S 1.50
O 0.4047 0.9905 0.4105  1 S 1.48
O 0.9011 0.9821 0.4112  1 S 1.51
O 0.0840 0.2046 0.4115  1 S 1.49
O 0.5865 0.1983 0.4106  1 S 1.48
O 0.0090 0.1979 0.9160  1 S 1.50
O 0.5051 0.1774 0.9130  1 Si 1.64
O 0.0852 0.9693 0.9133  1 S 1.48
O 0.5839 0.9634 0.9119  1 S 1.49
O 0.4028 0.8204 0.9121  1 S 1.51
O 0.9045 0.8181 0.9115  1 S 1.47
O 0.4935 0.1807 0.5852  1 S 1.52
O 0.9873 0.1659 0.5840  1 S 1.55
O 0.0941 0.0264 0.5871  1 S 1.55
O 0.5988 0.0206 0.5843  1 S 1.52
O 0.4242 0.8359 0.5871  1 Si 1.69
O 0.9184 0.8108 0.5861  1 S 1.55
O 0.4885 0.8109 0.0877  1 S 1.55
O 0.9900 0.8036 0.0864  1 S 1.53
O 0.4179 0.0258 0.0848  1 S 1.54
O 0.9219 0.0043 0.0879  1 Si 1.76, 1 Sn 1.96
O 0.0989 0.1786 0.0850  1 S 1.52
O 0.5934 0.1616 0.0894  1 S 1.54
O 0.3452 0.1568 0.7429  1 S 1.47
O 0.8466 0.1720 0.7438  1 Si 1.62
O 0.2484 0.3199 0.7446  1 Si 1.64
O 0.7461 0.3264 0.7415  1 Si 1.63
O 0.4258 0.5338 0.7447  1 S 1.46
O 0.9265 0.5349 0.7408  1 S 1.48
O 0.3467 0.5210 0.2440  1 Si 1.62
O 0.8406 0.5246 0.2434  1 S 1.47
O 0.4253 0.3092 0.2423  1 S 1.49
O 0.9240 0.3217 0.2467  1 S 1.46
O 0.2459 0.1665 0.2417  1 Si 1.63
O 0.7339 0.1566 0.2440  1 S 1.46
O 0.3222 0.5107 0.9235  1 S 1.48
O 0.8220 0.5031 0.9247  1 S 1.48
O 0.4204 0.3502 0.9248  1 Si 1.64
O 0.9300 0.3547 0.9198  1 S 1.50
O 0.2433 0.1288 0.9224  1 S 1.50
O 0.7405 0.1404 0.9210  1 S 1.49
O 0.3213 0.1384 0.4252  1 S 1.48
O 0.8212 0.1322 0.4239  1 S 1.48
O 0.2407 0.3396 0.4207  1 S 1.49
O 0.7437 0.3566 0.4228  1 S 1.50
O 0.4318 0.5090 0.4174  1 S 1.51
O 0.9203 0.4912 0.4244  1 Si 1.64
O 0.1763 0.4921 0.0762  1 S 1.48
O 0.6722 0.4770 0.0812  1 S 1.47
O 0.0694 0.6479 0.0774  1 S 1.48
O 0.5665 0.6525 0.0805  1 S 1.46
O 0.2589 0.8608 0.0793  1 S 1.48
O 0.7506 0.8288 0.0788  1 Si 1.65
O 0.1704 0.8624 0.5813  1 S 1.46
O 0.6760 0.8609 0.5759  1 S 1.48
O 0.2451 0.6535 0.5783  1 Si 1.64
O 0.7590 0.6574 0.5798  1 S 1.48
O 0.0667 0.4778 0.5791  1 S 1.47
O 0.5697 0.4942 0.5793  1 S 1.48
O 0.1576 0.8289 0.2516  1 Si 1.66
O 0.6542 0.8419 0.2561  1 S 1.49
O 0.2520 0.6732 0.2594  1 Si 1.67
O 0.7605 0.6780 0.2552  1 S 1.48
O 0.0819 0.4600 0.2545  1 S 1.52
O 0.5795 0.4760 0.2567  1 S 1.48
O 0.1586 0.4877 0.7549  1 Si 1.64
O 0.6569 0.4860 0.7522  1 Si 1.66
O 0.0806 0.6949 0.7584  1 S 1.48
O 0.5831 0.7087 0.7547  1 S 1.50
O 0.2620 0.8478 0.7567  1 S 1.50
O 0.7494 0.8301 0.7597  1 Si 1.67

Summary:
Corrected total energy (MP2020 scheme)   -6.4823 eV per atom
Space group   P1 (1)
Magnetic moment   0.001 μB per formula unit
Energy of formation   -2.36 eV per atom


[3]
A plane-wave DFT calculation with GGA-PBE was carried out for a relaxed structure of BaMg6Zn.

a b c (Å): 5.0732 7.0200 12.1078
angles (deg): 90.00 90.00 90.00
With the nearest neighbours (Å) after each atom.
Fractional coordinates of all 16 atoms:
Ba 0.5000 0.5000 0.1731  2 Zn 3.38, 10 Mg 3.43-3.57
Ba 0.5000 0.0000 0.6731  2 Zn 3.38, 10 Mg 3.43-3.57
Mg 0.0000 0.2185 0.0671  1 Zn 2.97, 5 Mg 3.07-3.18
Mg 0.0000 0.7815 0.0671  1 Zn 2.97, 5 Mg 3.07-3.18
Mg 0.0000 0.5000 0.8330  10 Mg 3.28-3.57, 2 Zn 3.52
Mg 0.5000 0.2377 0.9203  6 Mg 3.10-3.37, 2 Zn 3.13, 1 Ba 3.43
Mg 0.5000 0.7623 0.9203  6 Mg 3.10-3.37, 2 Zn 3.13, 1 Ba 3.43
Mg 0.5000 0.5000 0.6617  8 Mg 3.18-3.37, 2 Ba 3.51
Mg 0.0000 0.7185 0.5671  1 Zn 2.97, 5 Mg 3.07-3.18
Mg 0.0000 0.2815 0.5671  1 Zn 2.97, 5 Mg 3.07-3.18
Mg 0.0000 0.0000 0.3330  10 Mg 3.28-3.57, 2 Zn 3.52
Mg 0.5000 0.7377 0.4203  6 Mg 3.10-3.37, 2 Zn 3.13, 1 Ba 3.43
Mg 0.5000 0.2623 0.4203  6 Mg 3.10-3.37, 2 Zn 3.13, 1 Ba 3.43
Mg 0.5000 0.0000 0.1617  8 Mg 3.18-3.37, 2 Ba 3.51
Zn 0.0000 0.5000 0.3573  6 Mg 2.97-3.13
Zn 0.0000 0.0000 0.8573  6 Mg 2.97-3.13

Summary:
Magnetic moment   0.002 μB per formula unit
Energy of formation   0.08 eV per atom